DFT (PBE) results for a geometry-optimized Rb3Hg2S3ClO12 structure.

Unit cell a=10.044 b=8.081 c=10.244 alpha=69.12 beta=90.00 gamma=90.00
Positions (direct):
1 O 0.034 0.958 0.358
2 Hg 0.573 0.760 0.953
3 Hg 0.351 0.735 0.499
4 Rb 0.446 0.324 0.301
5 O 0.844 0.588 0.189
6 Hg 0.851 0.265 0.501
7 O 0.645 0.497 0.090
8 O 0.949 0.022 0.039
9 Rb 0.946 0.676 0.699
10 S 0.290 0.549 0.860
11 O 0.280 0.724 0.744
12 O 0.866 0.435 0.020
13 S 0.108 0.094 0.391
14 O 0.039 0.133 0.512
15 O 0.244 0.038 0.446
16 O 0.617 0.735 0.732
17 Cl 0.197 0.524 0.480
18 S 0.790 0.451 0.140
19 O 0.534 0.042 0.642
20 S 0.608 0.906 0.609
21 Cl 0.697 0.476 0.520
22 O 0.366 0.565 0.980
23 O 0.423 0.788 0.210
24 O 0.344 0.412 0.811
25 Rb 0.118 0.684 0.131
26 O 0.923 0.212 0.790
27 Rb 0.618 0.316 0.869
28 S 0.403 0.971 0.108
29 O 0.744 0.962 0.554
30 O 0.449 0.978 0.961
31 O 0.780 0.276 0.256
32 O 0.983 0.899 0.856
33 O 0.759 0.984 0.907
34 O 0.483 0.101 0.144
35 Rb 0.250 0.098 0.732
36 O 0.259 0.016 0.093
37 O 0.539 0.867 0.488
38 Rb 0.750 0.902 0.268
39 O 0.117 0.265 0.268
40 S 0.903 0.029 0.892
41 Hg 0.073 0.240 0.047
42 O 0.145 0.503 0.910

Output
Space group: P2_1 (4)
Formation energy in meV per atom: -1832
Energy in eV/atom: -5.12